Entry from the Materials Project: a relaxed Tb10Mn13C18 crystal (PBE).

a = 8.7366 Å, b = 8.7366 Å, c = 8.7366 Å
α = 109.47°, β = 109.47°, γ = 109.47°
Element x y z (fractional)
Tb: 0.5000 0.7500 0.2500
Tb: 0.7500 0.5000 0.2500
Tb: 0.2500 0.7500 0.5000
Tb: 0.2500 0.5000 0.7500
Tb: 0.5000 0.2500 0.7500
Tb: 0.7500 0.2500 0.5000
Tb: 0.4074 0.0000 0.0000
Tb: 0.0000 0.4074 0.0000
Tb: 0.0000 0.0000 0.4074
Tb: 0.5926 0.5926 0.5926
Mn: 0.0000 0.0000 0.0000
Mn: 0.6693 0.8234 0.0000
Mn: 0.8459 0.1766 0.1766
Mn: 0.6693 0.0000 0.8234
Mn: 0.8234 0.6693 0.0000
Mn: 0.0000 0.6693 0.8234
Mn: 0.1766 0.8459 0.1766
Mn: 0.1766 0.1766 0.8459
Mn: 0.0000 0.8234 0.6693
Mn: 0.8234 0.0000 0.6693
Mn: 0.3307 0.3307 0.1541
Mn: 0.1541 0.3307 0.3307
Mn: 0.3307 0.1541 0.3307
C: 0.7018 0.2171 0.0000
C: 0.4848 0.7829 0.7829
C: 0.7018 0.0000 0.2171
C: 0.2171 0.7018 0.0000
C: 0.0000 0.7018 0.2171
C: 0.7829 0.4848 0.7829
C: 0.7829 0.7829 0.4848
C: 0.0000 0.2171 0.7018
C: 0.2171 0.0000 0.7018
C: 0.2982 0.2982 0.5152
C: 0.5152 0.2982 0.2982
C: 0.2982 0.5152 0.2982
C: 0.5697 0.5697 0.0000
C: 0.0000 0.4303 0.4303
C: 0.5697 0.0000 0.5697
C: 0.0000 0.5697 0.5697
C: 0.4303 0.0000 0.4303
C: 0.4303 0.4303 0.0000

space-group type = I-43m
size of the total moment = 0.149 μB/atom
ΔH_f (0 K) = -29 kJ per mole of atoms

=====

Entry from the Materials Project: a relaxed Th2Mn17C2 crystal (PBE).

a = 6.4786 Å, b = 6.4616 Å, c = 6.4786 Å
α = 83.51°, β = 84.39°, γ = 83.51°
Element x y z (fractional)
Th: 0.6440 0.6659 0.6440
Th: 0.3560 0.3341 0.3560
Mn: 0.3430 0.8631 0.3430
Mn: 0.8615 0.3397 0.3402
Mn: 0.3402 0.3397 0.8615
Mn: 0.6570 0.1369 0.6570
Mn: 0.1385 0.6603 0.6599
Mn: 0.6599 0.6603 0.1385
Mn: 0.0000 0.5000 0.0000
Mn: 0.5000 0.0000 0.0000
Mn: 0.0000 0.0000 0.5000
Mn: 0.7338 0.0000 0.2662
Mn: 0.9964 0.2785 0.7225
Mn: 0.2775 0.7215 0.0036
Mn: 0.0036 0.7215 0.2775
Mn: 0.7225 0.2785 0.9964
Mn: 0.2662 0.0000 0.7338
Mn: 0.9064 0.9022 0.9064
Mn: 0.0936 0.0978 0.0936
C: 0.0000 0.5000 0.5000
C: 0.5000 0.5000 0.0000

space-group type = C2/m
ΔH_f (0 K) = -6 kJ per mole of atoms

=====

Entry from the Materials Project: a relaxed Tm10Mn13C18 crystal (PBE).

a = 8.6521 Å, b = 8.6521 Å, c = 8.6521 Å
α = 109.47°, β = 109.47°, γ = 109.47°
Element x y z (fractional)
Tm: 0.5000 0.7500 0.2500
Tm: 0.7500 0.5000 0.2500
Tm: 0.2500 0.7500 0.5000
Tm: 0.2500 0.5000 0.7500
Tm: 0.5000 0.2500 0.7500
Tm: 0.7500 0.2500 0.5000
Tm: 0.4099 0.0000 0.0000
Tm: 0.0000 0.4099 0.0000
Tm: 0.0000 0.0000 0.4099
Tm: 0.5901 0.5901 0.5901
Mn: 0.0000 0.0000 0.0000
Mn: 0.6654 0.8199 0.0000
Mn: 0.8455 0.1801 0.1801
Mn: 0.6654 0.0000 0.8199
Mn: 0.8199 0.6654 0.0000
Mn: 0.0000 0.6654 0.8199
Mn: 0.1801 0.8455 0.1801
Mn: 0.1801 0.1801 0.8455
Mn: 0.0000 0.8199 0.6654
Mn: 0.8199 0.0000 0.6654
Mn: 0.3346 0.3346 0.1545
Mn: 0.1545 0.3346 0.3346
Mn: 0.3346 0.1545 0.3346
C: 0.7029 0.2217 0.0000
C: 0.4812 0.7783 0.7783
C: 0.7029 0.0000 0.2217
C: 0.2217 0.7029 0.0000
C: 0.0000 0.7029 0.2217
C: 0.7783 0.4812 0.7783
C: 0.7783 0.7783 0.4812
C: 0.0000 0.2217 0.7029
C: 0.2217 0.0000 0.7029
C: 0.2971 0.2971 0.5188
C: 0.5188 0.2971 0.2971
C: 0.2971 0.5188 0.2971
C: 0.5691 0.5691 0.0000
C: 0.0000 0.4309 0.4309
C: 0.5691 0.0000 0.5691
C: 0.0000 0.5691 0.5691
C: 0.4309 0.0000 0.4309
C: 0.4309 0.4309 0.0000

space-group type = I-43m
size of the total moment = 0.008 μB/atom
ΔH_f (0 K) = -30 kJ per mole of atoms

=====

Entry from the Materials Project: a relaxed Tm12Mn5C15 crystal (PBE).

a = 4.9612 Å, b = 10.3397 Å, c = 10.3397 Å
α = 120.00°, β = 90.00°, γ = 90.00°
Element x y z (fractional)
Tm: 0.5000 0.2061 0.2061
Tm: 0.5000 0.0000 0.7939
Tm: 0.5000 0.7939 0.0000
Tm: 0.0000 0.7308 0.1860
Tm: 0.0000 0.4552 0.2692
Tm: 0.0000 0.5448 0.8140
Tm: 0.0000 0.8140 0.5448
Tm: 0.0000 0.1860 0.7308
Tm: 0.0000 0.2692 0.4552
Tm: 0.5000 0.5688 0.5688
Tm: 0.5000 0.0000 0.4312
Tm: 0.5000 0.4312 0.0000
Mn: 0.0000 0.8469 0.8469
Mn: 0.0000 0.0000 0.1531
Mn: 0.0000 0.1531 0.0000
Mn: 0.5000 0.6667 0.3333
Mn: 0.5000 0.3333 0.6667
C: 0.0000 0.6737 0.6737
C: 0.0000 0.0000 0.3263
C: 0.0000 0.3263 0.0000
C: 0.0000 0.2045 0.2045
C: 0.0000 0.0000 0.7955
C: 0.0000 0.7955 0.0000
C: 0.0000 0.5430 0.5430
C: 0.0000 0.0000 0.4570
C: 0.0000 0.4570 0.0000
C: 0.5000 0.7173 0.1917
C: 0.5000 0.4745 0.2827
C: 0.5000 0.5255 0.8083
C: 0.5000 0.8083 0.5255
C: 0.5000 0.1917 0.7173
C: 0.5000 0.2827 0.4745

space-group type = P-62m
ΔH_f (0 K) = -37 kJ per mole of atoms